La2Nb2N2O5 PBE relaxed; energy above the lowest structure with this stoichiometry = 12.8 meV/atom; DFT total energy = -394.77 eV per cell; symmetry = P1; DFT formation energy = -30.64 eV/f.u.
1.0
-5.6698 -0.8498 0.1171
0.7202 -5.5576 -5.7400
1.5701 -8.2016 10.9495
Nb N La O
8 8 8 20
direct
0.2944 0.0704 0.3219
0.7947 0.9251 0.6757
0.7675 0.5361 0.1184
0.2820 0.5977 0.3246
0.7421 0.0231 0.1173
0.2636 0.4725 0.8825
0.2589 0.9692 0.8831
0.7917 0.4140 0.6755
0.4504 0.0260 0.1849
0.0505 0.9169 0.5904
0.5612 0.8704 0.5734
0.5499 0.0873 0.4099
0.5341 0.9620 0.9816
0.9440 0.9747 0.8212
0.8172 0.7709 0.1059
0.1941 0.8220 0.3034
0.7728 0.3409 0.3833
0.3447 0.1330 0.5688
0.2510 0.2738 0.1230
0.2642 0.7804 0.0950
0.8337 0.8622 0.4302
0.7504 0.7322 0.8831
0.2832 0.6652 0.6080
0.7631 0.2156 0.9118
0.0740 0.3738 0.6138
0.1707 0.7218 0.9127
0.0589 0.1346 0.4280
0.9446 0.4312 0.8204
0.6866 0.1820 0.6972
0.4450 0.5624 0.1781
0.4534 0.5005 0.7748
0.9608 0.4988 0.2273
0.9558 0.1252 0.2226
0.4483 0.8720 0.7764
0.8446 0.6656 0.6968
0.0827 0.5856 0.4379
0.0296 0.4596 0.0191
0.6721 0.2754 0.0849
0.5777 0.6190 0.3865
0.3486 0.3282 0.3021
0.5226 0.5336 0.9790
0.0439 0.0484 0.0190
0.3199 0.2277 0.8873
0.5861 0.4127 0.5635

Zr5Pt3 PBE relaxed; DFT total energy = -134.90 eV per cell; symmetry = Cmcm; DFT formation energy = -6.50 eV/f.u.
1.0
0.0000 0.0000 -5.4372
-4.1466 -7.1821 0.0000
-4.1341 7.1749 0.0000
Zr Pt
10 6
direct
0.0000 0.6667 0.3333
0.2500 0.2453 0.2452
0.7500 0.7547 0.7548
0.2500 0.7548 0.0000
0.2500 0.0001 0.7548
0.7500 0.9999 0.2452
0.0000 0.3334 0.6667
0.5000 0.6666 0.3333
0.5000 0.3333 0.6667
0.7500 0.2452 0.0000
0.2500 0.3928 0.0000
0.2500 0.6068 0.6070
0.7500 0.3932 0.3930
0.7500 0.6072 0.0000
0.2500 0.9998 0.3930
0.7500 0.0002 0.6070

Sr2Cd2CuS2O2 PBE relaxed; DFT total energy = -38.17 eV per cell; symmetry = I4/mmm; DFT formation energy = -13.06 eV/f.u.
1.0
-2.0310 2.0310 10.4709
2.0310 -2.0310 10.4709
2.0310 2.0310 -10.4709
Sr Cd Cu O S
2 2 1 2 2
direct
0.4215 0.4215 0.0000
0.5785 0.5785 0.0000
0.7500 0.2500 0.5000
0.2500 0.7500 0.5000
0.0000 0.0000 0.0000
0.5000 0.0000 0.5000
0.0000 0.5000 0.5000
0.1446 0.1446 0.0000
0.8554 0.8554 0.0000

DFT formation energy of number 1 (La2Nb2N2O5)? -30.64 eV/f.u.

Please write out number 3 again, unchanged.
Sr2Cd2CuS2O2 PBE relaxed; DFT total energy = -38.17 eV per cell; symmetry = I4/mmm; DFT formation energy = -13.06 eV/f.u.
1.0
-2.0310 2.0310 10.4709
2.0310 -2.0310 10.4709
2.0310 2.0310 -10.4709
Sr Cd Cu O S
2 2 1 2 2
direct
0.4215 0.4215 0.0000
0.5785 0.5785 0.0000
0.7500 0.2500 0.5000
0.2500 0.7500 0.5000
0.0000 0.0000 0.0000
0.5000 0.0000 0.5000
0.0000 0.5000 0.5000
0.1446 0.1446 0.0000
0.8554 0.8554 0.0000